[1]
A relaxed structure of Ba2SrNp. Source: the Materials Project database, functional GGA-PBE.

```
4
Lattice="-5.601 -2.895 -0.219 -4.125 0.732 4.823 -5.282 3.365 -0.730" Properties=species:S:1:pos:R:3 pbc="T T T"
Sr -7.504 0.601 1.937
Np -9.407 4.097 4.093
Ba -3.758 0.310 0.966
Ba -11.250 0.892 2.908
```

Total magnetic moment   1.23 μB/atom
Formation energy from the elements   691 meV/atom
Energy relative to the lowest polymorph listed for this composition   27 meV/atom

---

[2]
A relaxed structure of BaSr2Np. Source: the Materials Project database, functional GGA-PBE.

```
4
Lattice="0.000 4.613 4.613 4.613 0.000 4.613 4.613 4.613 0.000" Properties=species:S:1:pos:R:3 pbc="T T T"
Ba 6.919 6.919 6.919
Np 0.000 0.000 0.000
Sr 4.613 4.613 4.613
Sr 2.306 2.306 2.306
```

Total magnetic moment   1.27 μB/atom
Formation energy from the elements   659 meV/atom

---

[3]
A relaxed structure of Ba2SrNp. Source: the Materials Project database, functional GGA-PBE.

```
4
Lattice="0.000 4.664 4.664 4.664 0.000 4.664 4.664 4.664 0.000" Properties=species:S:1:pos:R:3 pbc="T T T"
Sr 4.664 4.664 4.664
Ba 6.995 6.995 6.995
Ba 2.332 2.332 2.332
Np 0.000 0.000 0.000
```

Total magnetic moment   1.28 μB/atom
Formation energy from the elements   663 meV/atom
Energy relative to the lowest polymorph listed for this composition   0 meV/atom

---

| no. | E_tot (eV per atom) |
| --- | --- |
| 1 | -3.93 |
| 2 | -3.90 |
| 3 | -3.96 |